No. 1
Below is an optimized crystal structure of La2Hf2SiS5O24, with properties calculated at the PBE level.

Structure (extended XYZ):
```
102
Lattice="9.245 0.000 0.000 4.615 8.064 0.000 0.020 0.062 23.886" Properties=species:S:1:pos:R:3 pbc="T T T"
La 0.000 0.000 0.000
La 4.624 8.023 4.675
La 4.520 2.688 20.911
La 4.599 2.659 9.069
La 9.154 5.416 19.452
La 13.650 8.038 16.537
Hf 4.475 2.614 3.858
Hf 4.553 2.645 15.527
Hf 9.111 5.380 0.870
Hf 9.115 5.352 12.772
Hf 9.108 5.296 7.799
Hf 9.013 0.087 11.722
Si 7.399 8.059 2.299
Si 8.017 3.070 10.302
Si 10.988 8.062 14.124
S 1.858 2.859 6.293
S 3.266 4.901 18.080
S 5.884 5.630 14.136
S 3.247 0.496 18.057
S 5.982 4.920 6.297
S 7.707 7.454 10.307
S 6.585 5.391 22.280
S 7.065 2.721 18.073
S 5.725 0.280 6.267
S 10.452 7.621 22.293
S 7.633 2.526 2.306
S 11.668 5.552 10.300
S 10.408 3.172 22.274
S 10.551 2.409 14.119
S 12.310 5.455 2.309
O 1.089 1.446 13.004
O 3.878 6.235 18.001
O 3.769 5.983 1.132
O 3.250 4.349 10.170
O 2.641 3.082 22.291
O 2.764 3.035 5.099
O 2.666 2.607 7.483
O 3.711 4.265 19.342
O 3.654 4.131 2.680
O 2.785 2.538 14.348
O 3.669 4.091 16.895
O 5.199 6.292 13.012
O 1.805 0.332 17.919
O 1.862 0.369 1.019
O 5.435 6.272 6.097
O 6.244 7.536 10.507
O 5.695 6.551 22.406
O 6.430 7.692 3.550
O 5.820 6.447 15.353
O 5.247 4.290 14.389
O 3.540 1.211 19.321
O 5.380 4.306 7.486
O 3.732 1.274 2.744
O 3.761 1.277 16.879
O 3.683 0.729 10.168
O 5.735 4.070 5.100
O 5.813 4.130 22.295
O 8.008 6.662 9.061
O 7.350 5.502 21.017
O 7.319 5.381 13.828
O 8.564 7.255 18.048
O 8.323 6.809 11.485
O 7.515 5.337 23.446
O 8.377 6.794 1.924
O 5.113 1.009 5.086
O 6.142 2.773 16.893
O 7.481 5.037 6.498
O 6.201 2.749 2.674
O 5.130 0.859 22.310
O 5.459 1.350 14.441
O 6.423 2.904 10.159
O 6.299 2.605 19.332
O 5.534 1.106 7.470
O 7.838 3.982 18.063
O 9.644 7.033 6.444
O 8.206 3.862 1.963
O 9.941 6.828 23.454
O 9.994 6.854 13.699
O 8.386 4.017 11.553
O 10.158 6.912 21.023
O 8.627 3.826 8.935
O 7.710 1.632 1.141
O 7.954 1.562 17.963
O 7.149 0.060 5.980
O 8.373 1.973 3.447
O 7.503 0.268 12.912
O 11.830 7.704 15.450
O 11.894 7.795 22.441
O 10.843 5.761 9.061
O 10.798 5.388 11.474
O 10.002 3.985 23.449
O 9.967 3.815 21.013
O 8.719 1.589 10.573
O 10.873 5.209 1.977
O 10.057 3.772 13.799
O 10.328 4.147 6.472
O 11.032 4.992 18.072
O 12.532 6.762 10.481
O 12.388 6.387 3.444
O 9.792 1.839 22.368
O 9.887 1.951 15.341
O 10.159 1.759 6.038
```

Properties
For the calculated volume, the calculation gives 17.46 A^3/atom. The spin magnetization comes out at 0.0 μB per formula unit. Its crystal system is triclinic. Its total energy is -0.2714 hartree per atom.

No. 2
Below is an optimized crystal structure of Zr2CoH5, with properties calculated at the PBE level.

Structure (extended XYZ):
```
32
Lattice="6.931 0.000 0.000 0.000 6.931 0.000 0.000 0.000 5.692" Properties=species:S:1:pos:R:3 pbc="T T T"
Zr 0.614 4.080 1.423
Zr 0.614 6.317 4.269
Zr 2.852 4.080 4.269
Zr 2.852 6.317 1.423
Zr 4.080 0.614 4.269
Zr 4.080 2.852 1.423
Zr 6.317 0.614 1.423
Zr 6.317 2.852 4.269
Co 1.733 1.733 0.055
Co 1.733 1.733 2.901
Co 5.199 5.199 2.791
Co 5.199 5.199 5.636
H 0.252 1.151 3.256
H 0.252 2.314 0.410
H 1.151 0.252 0.410
H 1.151 3.213 3.256
H 1.733 5.199 0.000
H 1.733 5.199 2.846
H 2.314 0.252 3.256
H 2.314 3.213 0.410
H 3.213 1.151 0.410
H 3.213 2.314 3.256
H 3.718 4.617 2.436
H 3.718 5.780 5.282
H 4.617 3.718 5.282
H 4.617 6.679 2.436
H 5.199 1.733 0.000
H 5.199 1.733 2.846
H 5.780 3.718 2.436
H 5.780 6.679 5.282
H 6.679 4.617 5.282
H 6.679 5.780 2.436
```

Properties
For the calculated volume, the calculation gives 8.55 A^3/atom. The spin magnetization comes out at 0.3 μB per formula unit. Its crystal system is tetragonal. Its total energy is -0.2046 hartree per atom.

No. 3
Below is an optimized crystal structure of Zr3NbC4, with properties calculated at the PBE level.

Structure (extended XYZ):
```
8
Lattice="1.649 0.952 10.785 -1.649 0.952 10.785 0.000 -1.905 10.785" Properties=species:S:1:pos:R:3 pbc="T T T"
Zr 0.000 0.000 0.000
Zr 0.000 0.000 8.049
Zr 0.000 0.000 24.305
Nb 0.000 0.000 16.177
C 0.000 0.000 4.133
C 0.000 0.000 12.162
C 0.000 0.000 20.191
C 0.000 0.000 28.221
```

Properties
For the calculated volume, the calculation gives 12.71 A^3/atom. Its crystal system is trigonal. Its total energy is -0.3605 hartree per atom.

No. 4
Below is an optimized crystal structure of Na3InSiSnP2O12, with properties calculated at the PBE level.

Structure (extended XYZ):
```
120
Lattice="7.861 -4.552 0.000 7.861 4.552 0.000 -0.022 0.000 22.564" Properties=species:S:1:pos:R:3 pbc="T T T"
Na 7.850 4.533 11.282
Na 5.031 2.832 5.641
Na 5.552 2.959 20.800
Na 2.644 1.251 9.325
Na 2.633 -1.251 20.606
Na 5.231 0.040 7.528
Na 5.220 -0.040 18.810
Na 10.344 2.818 13.257
Na 7.896 1.260 16.922
Na 5.020 -2.832 16.923
Na 7.907 -1.260 5.641
Na 10.488 0.096 3.760
Na 10.477 -0.096 15.041
Na 5.563 -2.959 9.518
Na 13.114 1.185 1.841
Na 13.103 -1.185 13.123
Na 10.355 -2.818 1.975
Na 7.861 -4.533 0.000
In 7.925 4.474 7.959
In 5.232 0.005 4.207
In 5.221 -0.005 15.489
In 10.536 -0.002 0.435
In 10.525 0.002 11.716
In 7.914 -4.474 19.241
Si 2.373 1.351 5.737
Si 5.335 2.705 1.946
Si 2.362 -1.351 17.019
Si 5.324 -2.705 13.228
Si 12.873 1.383 20.765
Si 12.883 -1.383 9.483
Sn 7.935 4.488 3.422
Sn 5.342 0.003 10.939
Sn 5.331 -0.003 22.221
Sn 10.524 0.017 18.464
Sn 10.535 -0.017 7.183
Sn 7.924 -4.488 14.704
P 5.563 3.222 16.992
P 2.948 1.325 13.184
P 7.957 1.835 5.697
P 7.599 1.372 13.279
P 2.958 -1.325 1.902
P 10.557 2.686 9.502
P 8.175 1.306 20.713
P 7.609 -1.372 1.998
P 8.186 -1.306 9.431
P 7.946 -1.835 16.979
P 5.574 -3.222 5.710
P 10.546 -2.686 20.784
O 1.515 0.881 20.658
O 6.657 3.710 2.034
O 1.709 0.806 7.100
O 6.394 3.449 18.262
O 1.600 0.547 13.320
O 3.871 1.154 14.391
O 5.061 1.829 3.275
O 4.021 1.030 20.816
O 3.572 0.665 11.898
O 5.537 1.792 0.575
O 5.049 1.508 9.580
O 3.895 0.784 5.666
O 1.611 -0.547 2.039
O 5.479 1.699 16.838
O 7.712 2.942 13.324
O 7.619 2.698 6.906
O 1.525 -0.881 9.376
O 1.698 -0.806 18.382
O 8.018 2.840 20.638
O 9.262 3.444 15.676
O 8.176 2.701 4.416
O 6.647 1.147 12.057
O 3.582 -0.665 0.616
O 3.884 -0.784 16.948
O 6.763 0.868 5.567
O 6.745 0.682 20.810
O 6.999 0.833 14.581
O 4.032 -1.030 9.534
O 3.881 -1.154 3.109
O 10.353 1.919 10.812
O 9.064 1.041 21.916
O 8.777 0.707 19.393
O 9.252 0.976 5.833
O 5.038 -1.508 20.862
O 9.010 0.791 13.114
O 10.620 1.715 1.784
O 10.299 1.514 17.036
O 10.775 1.732 8.284
O 6.756 -0.682 9.528
O 5.050 -1.829 14.557
O 6.752 -0.868 16.849
O 5.490 -1.699 5.556
O 7.010 -0.833 3.299
O 5.527 -1.792 11.857
O 6.657 -1.147 0.775
O 11.892 1.165 19.428
O 8.788 -0.707 8.111
O 11.846 0.889 13.160
O 9.020 -0.791 1.833
O 9.075 -1.041 10.634
O 12.034 0.642 5.806
O 9.241 -0.976 17.115
O 12.244 0.713 22.100
O 7.608 -2.698 18.188
O 6.405 -3.449 6.980
O 7.723 -2.942 2.043
O 8.165 -2.701 15.697
O 10.310 -1.514 5.754
O 8.029 -2.840 9.356
O 14.072 0.629 4.454
O 6.646 -3.710 13.316
O 12.023 -0.642 17.088
O 14.311 0.640 20.635
O 11.857 -0.889 1.878
O 12.254 -0.713 10.818
O 10.609 -1.715 13.066
O 10.342 -1.919 22.094
O 10.764 -1.732 19.566
O 11.903 -1.165 8.146
O 14.062 -0.629 15.736
O 9.273 -3.444 4.394
O 14.322 -0.640 9.353
```

Properties
For the calculated volume, the calculation gives 13.46 A^3/atom. The spin magnetization comes out at 0.0 μB per formula unit. The calculation puts the distance to the lowest polymorph of the same formula at 0.00 eV/f.u. Its crystal system is monoclinic. Its total energy is -0.2368 hartree per atom.

No. 5
Below is an optimized crystal structure of TbAl3B4O12, with properties calculated at the PBE level.

Structure (extended XYZ):
```
20
Lattice="4.681 2.703 2.443 -4.681 2.703 2.443 0.000 -5.406 2.443" Properties=species:S:1:pos:R:3 pbc="T T T"
Tb 0.000 0.000 0.000
Al -2.601 -0.901 2.443
Al -2.601 0.901 4.887
Al 0.521 2.703 2.443
B -2.073 -3.591 3.665
B 0.000 0.000 3.665
B -2.073 3.591 3.665
B 4.146 0.000 3.665
O -2.805 -2.436 3.505
O -3.826 0.000 3.665
O -0.707 -3.647 3.825
O -1.393 0.000 3.665
O -2.805 2.436 3.825
O 1.913 -3.314 3.665
O 0.697 -1.206 3.665
O -0.707 3.647 3.505
O 0.697 1.206 3.665
O 3.512 -1.211 3.505
O 1.913 3.314 3.665
O 3.512 1.211 3.825
```

Properties
For the calculated volume, the calculation gives 9.27 A^3/atom. The spin magnetization comes out at 0.0 μB per formula unit. Its crystal system is trigonal. Its total energy is -0.2917 hartree per atom.

No. 6
Below is an optimized crystal structure of KCu2H20N3Cl8O4, with properties calculated at the PBE level.

Structure (extended XYZ):
```
38
Lattice="7.680 0.000 0.000 0.000 7.680 0.000 0.000 0.000 8.007" Properties=species:S:1:pos:R:3 pbc="T T T"
K 0.000 0.000 0.000
Cu 0.000 3.840 6.013
Cu 3.840 0.000 1.994
H 0.555 0.643 3.408
H 0.576 3.275 0.550
H 0.573 3.273 3.471
H 0.643 7.125 4.599
H 3.196 3.288 0.597
H 3.193 3.290 3.407
H 3.273 7.107 4.536
H 3.275 7.104 7.457
H 3.290 4.488 4.601
H 3.288 4.484 7.410
H 4.391 3.193 4.601
H 4.393 3.196 7.410
H 4.407 0.573 4.536
H 4.405 0.576 7.457
H 4.484 4.393 0.597
H 4.488 4.391 3.407
H 7.037 0.555 4.599
H 7.104 4.405 0.550
H 7.107 4.407 3.471
H 7.125 7.037 3.408
N 0.000 0.000 4.004
N 3.840 3.840 0.000
N 3.840 3.840 4.004
Cl 1.565 2.194 6.037
Cl 1.672 2.201 2.019
Cl 2.194 6.115 1.970
Cl 2.201 6.008 5.988
Cl 5.480 1.672 5.988
Cl 5.487 1.565 1.970
Cl 6.008 5.480 2.019
Cl 6.115 5.487 6.037
O 0.000 3.840 4.048
O 0.000 3.840 7.981
O 3.840 0.000 0.027
O 3.840 0.000 3.959
```

Properties
For the calculated volume, the calculation gives 12.43 A^3/atom. The spin magnetization comes out at 2.0 μB per formula unit. The value obtained for the piezoelectric modulus e_max is 0.033 C/m². Its crystal system is tetragonal. Its total energy is -0.1611 hartree per atom.

No. 7
Below is an optimized crystal structure of LiTaGeO5, with properties calculated at the PBE level.

Structure (extended XYZ):
```
16
Lattice="3.833 -4.112 0.000 3.833 4.112 0.000 -3.727 0.000 6.587" Properties=species:S:1:pos:R:3 pbc="T T T"
Li 1.970 2.536 3.294
Li 3.833 -2.536 0.000
Ta 0.940 0.038 5.133
Ta 2.803 -0.038 1.839
Ge 3.712 2.957 0.232
Ge 1.849 -2.957 3.525
O 1.048 0.015 0.851
O -0.815 -0.015 4.145
O 2.986 1.950 1.487
O 0.701 1.937 5.565
O 1.868 0.552 3.491
O 3.732 -0.552 0.198
O 1.123 -1.950 4.781
O 2.564 -1.937 2.271
O 2.689 0.010 6.120
O 4.553 -0.010 2.827
```

Properties
For the calculated volume, the calculation gives 12.98 A^3/atom. The spin magnetization comes out at 0.0 μB per formula unit. The calculation puts the distance to the lowest polymorph of the same formula at 0.01 eV/f.u. Its crystal system is monoclinic. Its total energy is -0.2837 hartree per atom.

No. 8
Below is an optimized crystal structure of CaB3O6, with properties calculated at the PBE level.

Structure (extended XYZ):
```
40
Lattice="6.514 0.000 0.000 0.000 10.412 0.000 -2.966 0.000 6.138" Properties=species:S:1:pos:R:3 pbc="T T T"
Ca -0.094 0.702 1.833
Ca -1.577 4.504 4.902
Ca 5.125 5.908 1.236
Ca 3.642 9.710 4.305
B -1.007 1.169 5.561
B 0.476 4.037 2.491
B 1.701 6.038 1.461
B 0.217 9.580 4.531
B -0.172 7.613 6.014
B 1.312 8.006 2.945
B 2.236 2.407 3.194
B 3.719 2.800 0.125
B 3.330 0.832 1.608
B 1.847 4.374 4.677
B 3.072 6.375 3.647
B 4.555 9.243 0.578
O -2.449 1.259 5.701
O -0.966 3.947 2.632
O -0.624 0.361 4.364
O 0.859 4.845 1.295
O 0.869 7.160 1.966
O -0.615 8.458 5.035
O 2.169 6.393 0.099
O 0.686 9.225 3.168
O -0.354 2.500 5.496
O 1.129 2.706 2.427
O 2.214 0.472 0.702
O 0.730 4.734 3.772
O 2.817 5.678 2.367
O 1.334 9.941 5.436
O 2.419 7.706 3.711
O 3.902 7.912 0.642
O 2.862 1.187 2.970
O 1.379 4.019 6.039
O 4.162 1.954 1.103
O 2.679 3.252 4.172
O 2.688 5.567 4.843
O 4.172 10.051 1.774
O 4.513 6.465 3.506
O 5.996 9.153 0.437
```

Properties
For the calculated volume, the calculation gives 10.41 A^3/atom. The spin magnetization comes out at 1.0 μB per formula unit. The calculation puts the distance to the lowest polymorph of the same formula at 0.11 eV/f.u. Its crystal system is monoclinic. Its total energy is -0.2789 hartree per atom.

No. 9
Below is an optimized crystal structure of UPd2S4, with properties calculated at the PBE level.

Structure (extended XYZ):
```
14
Lattice="-3.390 3.390 5.938 3.390 -3.390 5.938 3.390 3.390 -5.938" Properties=species:S:1:pos:R:3 pbc="T T T"
U 0.000 1.695 1.484
U 3.390 1.695 4.453
Pd 1.695 1.695 -2.969
Pd 1.695 -1.695 2.969
Pd 3.390 0.000 0.000
Pd 0.000 0.000 5.938
S 5.467 0.677 -0.858
S 4.409 0.381 2.110
S 1.314 2.713 -0.858
S 1.018 0.381 3.827
S 2.372 3.009 2.110
S 2.076 0.677 6.796
S -1.018 3.009 3.827
S -2.076 2.713 6.796
```

Properties
For the calculated volume, the calculation gives 19.50 A^3/atom. The spin magnetization comes out at 2.0 μB per formula unit. Its crystal system is tetragonal. Its total energy is -0.2289 hartree per atom.